# 1
YFe10W2, optimized geometry, DFT PBE; energy of formation from the pure elements = 0.012 eV per atom; uncorrected energy = -116.9 eV per formula unit
1.0
0.000 0.000 4.690
-4.261 4.267 2.345
-4.261 -4.267 -2.345
Fe W Y
10 2 1
direct
0.500 0.500 0.000 Fe
0.500 0.779 0.779 Fe
0.000 0.500 0.000 Fe
0.723 0.777 0.223 Fe
0.500 0.221 0.221 Fe
0.277 0.223 0.777 Fe
0.000 0.000 0.500 Fe
0.631 0.369 0.631 Fe
0.500 0.000 0.500 Fe
0.369 0.631 0.369 Fe
0.000 0.646 0.646 W
0.000 0.354 0.354 W
0.000 0.000 0.000 Y


# 2
YFe2, optimized geometry, DFT PBE; energy of formation from the pure elements = -0.062 eV per atom; uncorrected energy = -23.6 eV per formula unit
1.0
-2.776 0.979 4.233
-4.831 -1.762 0.379
-1.104 -3.808 3.297
Fe Y
4 2
direct
0.625 0.125 0.625 Fe
0.625 0.625 0.125 Fe
0.125 0.625 0.625 Fe
0.625 0.625 0.625 Fe
0.000 0.000 0.000 Y
0.250 0.250 0.250 Y


# 3
YFe2, optimized geometry, DFT PBE; energy of formation from the pure elements = -0.060 eV per atom; uncorrected energy = -23.6 eV per formula unit
1.0
-5.360 3.196 6.358
-1.195 -1.045 -8.766
0.353 -8.545 2.493
Y Fe
10 20
direct
0.596 0.795 0.397 Y
0.000 0.000 0.000 Y
0.652 0.953 0.100 Y
0.801 0.404 0.199 Y
0.250 0.750 0.500 Y
0.853 0.552 0.900 Y
0.448 0.348 0.301 Y
0.047 0.147 0.699 Y
0.205 0.602 0.801 Y
0.398 0.199 0.603 Y
0.923 0.773 0.452 Fe
0.124 0.377 0.246 Fe
0.227 0.679 0.150 Fe
0.427 0.277 0.953 Fe
0.727 0.672 0.650 Fe
0.529 0.077 0.850 Fe
0.723 0.675 0.150 Fe
0.022 0.077 0.350 Fe
0.724 0.173 0.648 Fe
0.328 0.978 0.054 Fe
0.827 0.474 0.550 Fe
0.325 0.474 0.047 Fe
0.623 0.868 0.747 Fe
0.924 0.276 0.450 Fe
0.923 0.273 0.946 Fe
0.132 0.878 0.754 Fe
0.526 0.573 0.850 Fe
0.321 0.471 0.548 Fe
0.122 0.876 0.253 Fe
0.526 0.076 0.352 Fe


# 4
YFe3, optimized geometry, DFT PBE; energy of formation from the pure elements = -0.060 eV per atom; uncorrected energy = -32.1 eV per formula unit
1.0
2.558 -4.431 0.000
2.558 4.431 0.000
0.000 0.000 16.124
Y Fe
6 18
direct
0.667 0.333 0.250 Y
0.333 0.667 0.537 Y
0.333 0.667 0.963 Y
0.667 0.333 0.463 Y
0.333 0.667 0.750 Y
0.667 0.333 0.037 Y
0.000 0.000 0.000 Fe
0.333 0.166 0.628 Fe
0.166 0.333 0.372 Fe
0.667 0.333 0.750 Fe
0.166 0.834 0.128 Fe
0.000 0.000 0.750 Fe
0.333 0.166 0.872 Fe
0.667 0.834 0.128 Fe
0.166 0.834 0.372 Fe
0.333 0.667 0.250 Fe
0.834 0.166 0.872 Fe
0.834 0.667 0.628 Fe
0.667 0.834 0.372 Fe
0.834 0.166 0.628 Fe
0.834 0.667 0.872 Fe
0.000 0.000 0.500 Fe
0.000 0.000 0.250 Fe
0.166 0.333 0.128 Fe


# 5
YFe2, optimized geometry, DFT PBE; energy of formation from the pure elements = -0.059 eV per atom; uncorrected energy = -23.6 eV per formula unit
1.0
-7.261 7.261 7.261
7.261 -7.261 7.261
7.261 7.261 -7.261
Fe Y
64 32
direct
0.877 0.751 0.751 Fe
0.498 0.125 0.749 Fe
0.000 0.126 0.249 Fe
0.749 0.125 0.498 Fe
0.625 0.373 0.875 Fe
0.123 0.874 0.874 Fe
0.629 0.629 0.629 Fe
0.875 0.495 0.000 Fe
0.000 0.000 0.371 Fe
0.000 0.495 0.875 Fe
0.249 0.249 0.872 Fe
0.128 0.377 0.377 Fe
0.502 0.251 0.627 Fe
0.251 0.375 0.749 Fe
0.505 0.380 0.505 Fe
0.251 0.627 0.502 Fe
0.377 0.128 0.377 Fe
0.751 0.000 0.623 Fe
0.623 0.000 0.751 Fe
0.749 0.498 0.125 Fe
0.000 0.371 0.000 Fe
0.875 0.625 0.373 Fe
0.373 0.625 0.875 Fe
0.249 0.872 0.249 Fe
0.373 0.875 0.625 Fe
0.375 0.251 0.749 Fe
0.375 0.749 0.251 Fe
0.495 0.000 0.875 Fe
0.000 0.875 0.495 Fe
0.251 0.749 0.375 Fe
0.125 0.749 0.498 Fe
0.872 0.249 0.249 Fe
0.125 0.620 0.125 Fe
0.000 0.751 0.623 Fe
0.502 0.627 0.251 Fe
0.751 0.751 0.877 Fe
0.505 0.505 0.380 Fe
0.625 0.875 0.373 Fe
0.495 0.875 0.000 Fe
0.627 0.251 0.502 Fe
0.380 0.505 0.505 Fe
0.251 0.502 0.627 Fe
0.125 0.498 0.749 Fe
0.874 0.874 0.123 Fe
0.126 0.000 0.249 Fe
0.125 0.125 0.620 Fe
0.751 0.877 0.751 Fe
0.498 0.749 0.125 Fe
0.875 0.000 0.495 Fe
0.126 0.249 0.000 Fe
0.751 0.623 0.000 Fe
0.249 0.126 0.000 Fe
0.000 0.249 0.126 Fe
0.371 0.000 0.000 Fe
0.249 0.000 0.126 Fe
0.623 0.751 0.000 Fe
0.377 0.377 0.128 Fe
0.875 0.373 0.625 Fe
0.749 0.375 0.251 Fe
0.620 0.125 0.125 Fe
0.627 0.502 0.251 Fe
0.000 0.623 0.751 Fe
0.749 0.251 0.375 Fe
0.874 0.123 0.874 Fe
0.751 0.246 0.751 Y
0.248 0.746 0.000 Y
0.249 0.496 0.000 Y
0.502 0.254 0.254 Y
0.252 0.252 0.252 Y
0.246 0.751 0.751 Y
0.248 0.000 0.746 Y
0.752 0.498 0.752 Y
0.000 0.746 0.248 Y
0.000 0.248 0.746 Y
0.498 0.752 0.752 Y
0.000 0.249 0.496 Y
0.254 0.502 0.254 Y
0.000 0.748 0.000 Y
0.500 0.500 0.000 Y
0.504 0.504 0.754 Y
0.000 0.000 0.748 Y
0.000 0.000 0.000 Y
0.746 0.248 0.000 Y
0.496 0.249 0.000 Y
0.249 0.000 0.496 Y
0.496 0.000 0.249 Y
0.000 0.500 0.500 Y
0.000 0.496 0.249 Y
0.754 0.504 0.504 Y
0.254 0.254 0.502 Y
0.746 0.000 0.248 Y
0.748 0.000 0.000 Y
0.500 0.000 0.500 Y
0.504 0.754 0.504 Y
0.751 0.751 0.246 Y
0.752 0.752 0.498 Y


# 6
YFe5, optimized geometry, DFT PBE; energy of formation from the pure elements = -0.043 eV per atom; uncorrected energy = -49.1 eV per formula unit
1.0
-2.731 3.912 1.561
-0.413 -1.620 -4.733
-2.888 -2.451 1.091
Fe Y
5 1
direct
0.500 0.000 0.500 Fe
0.667 0.333 0.000 Fe
0.500 0.500 0.500 Fe
0.333 0.667 0.000 Fe
0.000 0.500 0.500 Fe
0.000 0.000 0.000 Y


# 7
YFe3, optimized geometry, DFT PBE; energy of formation from the pure elements = -0.061 eV per atom; uncorrected energy = -32.1 eV per formula unit
1.0
-0.841 4.316 -2.675
-3.947 0.258 -3.294
-6.374 4.275 3.952
Fe Y
9 3
direct
0.918 0.420 0.243 Fe
0.333 0.333 0.002 Fe
0.667 0.667 0.998 Fe
0.580 0.082 0.757 Fe
0.420 0.420 0.243 Fe
0.500 0.500 0.500 Fe
0.420 0.918 0.243 Fe
0.082 0.580 0.757 Fe
0.580 0.580 0.757 Fe
0.858 0.858 0.426 Y
0.000 0.000 0.000 Y
0.142 0.142 0.574 Y


# 8
YZrFe4, optimized geometry, DFT PBE; energy of formation from the pure elements = -0.160 eV per atom; uncorrected energy = -49.9 eV per formula unit
1.0
-0.096 -2.052 4.659
-3.362 1.661 3.444
-3.894 -2.969 1.394
Y Fe Zr
1 4 1
direct
0.250 0.250 0.250 Y
0.124 0.625 0.625 Fe
0.625 0.124 0.625 Fe
0.625 0.625 0.124 Fe
0.625 0.625 0.625 Fe
0.000 0.000 0.000 Zr


# 9
ZrZn20Fe2, optimized geometry, DFT PBE; energy of formation from the pure elements = -0.133 eV per atom; uncorrected energy = -53.7 eV per formula unit
1.0
4.513 -2.102 8.549
-5.240 -0.450 8.379
-1.554 -8.724 4.400
Zn Fe Zr
40 4 2
direct
0.114 0.114 0.386 Zn
0.625 0.625 0.125 Zn
0.420 0.949 0.949 Zn
0.949 0.682 0.420 Zn
0.949 0.949 0.420 Zn
0.682 0.949 0.420 Zn
0.864 0.864 0.136 Zn
0.301 0.830 0.301 Zn
0.682 0.420 0.949 Zn
0.386 0.386 0.114 Zn
0.301 0.568 0.301 Zn
0.830 0.301 0.301 Zn
0.625 0.625 0.625 Zn
0.301 0.568 0.830 Zn
0.136 0.864 0.136 Zn
0.136 0.864 0.864 Zn
0.864 0.136 0.136 Zn
0.949 0.420 0.949 Zn
0.830 0.301 0.568 Zn
0.136 0.136 0.864 Zn
0.125 0.625 0.625 Zn
0.568 0.301 0.301 Zn
0.949 0.682 0.949 Zn
0.949 0.949 0.682 Zn
0.301 0.301 0.830 Zn
0.682 0.949 0.949 Zn
0.301 0.301 0.568 Zn
0.301 0.830 0.568 Zn
0.420 0.949 0.682 Zn
0.949 0.420 0.682 Zn
0.420 0.682 0.949 Zn
0.568 0.830 0.301 Zn
0.114 0.386 0.386 Zn
0.625 0.125 0.625 Zn
0.114 0.386 0.114 Zn
0.830 0.568 0.301 Zn
0.568 0.301 0.830 Zn
0.864 0.136 0.864 Zn
0.386 0.114 0.386 Zn
0.386 0.114 0.114 Zn
0.125 0.625 0.125 Fe
0.625 0.125 0.125 Fe
0.125 0.125 0.125 Fe
0.125 0.125 0.625 Fe
0.750 0.750 0.750 Zr
0.500 0.500 0.500 Zr


# 10
Zr6Fe23, optimized geometry, DFT PBE; energy of formation from the pure elements = -0.167 eV per atom; uncorrected energy = -250.9 eV per formula unit
1.0
5.521 3.189 5.268
-1.655 0.209 8.101
4.108 -4.960 5.190
Fe Zr
23 6
direct
0.173 0.482 0.173 Fe
0.378 0.378 0.378 Fe
0.173 0.173 0.482 Fe
0.135 0.622 0.622 Fe
0.500 0.500 0.000 Fe
0.827 0.518 0.827 Fe
0.378 0.865 0.378 Fe
0.622 0.622 0.622 Fe
0.622 0.135 0.622 Fe
0.518 0.827 0.827 Fe
0.500 0.000 0.500 Fe
0.000 0.500 0.500 Fe
0.000 0.500 0.000 Fe
0.827 0.827 0.518 Fe
0.000 0.000 0.500 Fe
0.482 0.173 0.173 Fe
0.827 0.827 0.827 Fe
0.378 0.378 0.865 Fe
0.865 0.378 0.378 Fe
0.500 0.000 0.000 Fe
0.500 0.500 0.500 Fe
0.173 0.173 0.173 Fe
0.622 0.622 0.135 Fe
0.794 0.206 0.206 Zr
0.794 0.794 0.206 Zr
0.206 0.206 0.794 Zr
0.206 0.794 0.794 Zr
0.206 0.794 0.206 Zr
0.794 0.206 0.794 Zr


# 11
Zr4Fe, optimized geometry, DFT PBE; energy of formation from the pure elements = 0.563 eV per atom; uncorrected energy = -39.8 eV per formula unit
1.0
4.197 2.212 -4.988
0.918 -3.803 -5.664
-2.609 2.098 -6.015
Zr Fe
8 2
direct
0.139 0.139 0.584 Zr
0.611 0.611 0.166 Zr
0.611 0.611 0.611 Zr
0.584 0.139 0.139 Zr
0.139 0.584 0.139 Zr
0.166 0.611 0.611 Zr
0.611 0.166 0.611 Zr
0.139 0.139 0.139 Zr
0.750 0.750 0.750 Fe
0.000 0.000 0.000 Fe


# 12
ZrFe2, optimized geometry, DFT PBE; energy of formation from the pure elements = -0.273 eV per atom; uncorrected energy = -26.3 eV per formula unit
1.0
-3.824 -0.839 3.105
3.647 -3.387 -0.445
8.189 7.236 12.038
Zr Fe
8 16
direct
0.000 0.000 0.906 Zr
0.000 0.000 0.094 Zr
0.667 0.333 0.156 Zr
0.333 0.667 0.656 Zr
0.000 0.000 0.594 Zr
0.000 0.000 0.406 Zr
0.333 0.667 0.844 Zr
0.667 0.333 0.344 Zr
0.000 0.500 0.000 Fe
0.500 0.000 0.500 Fe
0.500 0.500 0.000 Fe
0.329 0.164 0.750 Fe
0.500 0.500 0.500 Fe
0.836 0.164 0.750 Fe
0.500 0.000 0.000 Fe
0.667 0.333 0.625 Fe
0.333 0.667 0.375 Fe
0.164 0.836 0.250 Fe
0.164 0.329 0.250 Fe
0.836 0.671 0.750 Fe
0.333 0.667 0.125 Fe
0.671 0.836 0.250 Fe
0.000 0.500 0.500 Fe
0.667 0.333 0.875 Fe


# 13
ZrFe2, optimized geometry, DFT PBE; energy of formation from the pure elements = -0.281 eV per atom; uncorrected energy = -26.3 eV per formula unit
1.0
4.870 1.057 0.109
3.211 -3.246 2.002
3.161 -2.507 -2.928
Fe Zr
4 2
direct
0.875 0.375 0.375 Fe
0.375 0.375 0.375 Fe
0.375 0.375 0.875 Fe
0.375 0.875 0.375 Fe
0.000 0.000 0.000 Zr
0.750 0.750 0.750 Zr


# 14
Zr3Fe, optimized geometry, DFT PBE; energy of formation from the pure elements = -0.109 eV per atom; uncorrected energy = -34.6 eV per formula unit
1.0
1.622 -5.463 0.000
1.622 5.463 0.000
0.000 0.000 9.068
Zr Fe
6 2
direct
0.137 0.863 0.941 Zr
0.427 0.573 0.750 Zr
0.863 0.137 0.441 Zr
0.863 0.137 0.059 Zr
0.137 0.863 0.559 Zr
0.573 0.427 0.250 Zr
0.734 0.266 0.750 Fe
0.266 0.734 0.250 Fe


# 15
Gd3Ga, optimized geometry, DFT PBE; energy of formation from the pure elements = -0.279 eV per atom; uncorrected energy = -46.4 eV per formula unit
1.0
-0.537 2.580 -3.969
-4.253 -2.016 -0.736
-2.078 3.460 2.531
Gd Ga
3 1
direct
0.000 0.500 0.500 Gd
0.500 0.000 0.500 Gd
0.500 0.500 0.000 Gd
0.000 0.000 0.000 Ga